Below is AsKrF7 after structural relaxation, with properties calculated at the r2SCAN level. Values from VASP.

crystal system = monoclinic
formation energy from the elements = -1.4854 eV/atom
VASP energy = -6.949 eV/atom

The structure in Quantum ESPRESSO input format:
```
&SYSTEM
  ibrav = 0, nat = 36, ntyp = 3
/
ATOMIC_SPECIES
As 74.92 As.upf
Kr 83.80 Kr.upf
F 19.00 F.upf
CELL_PARAMETERS angstrom
10.169 0.000 0.000
0.000 5.109 0.007
0.000 1.034 10.547
ATOMIC_POSITIONS angstrom
As 10.048 5.415 8.121
As 4.964 1.245 7.706
As 0.121 0.728 2.433
As 5.205 4.898 2.847
Kr 2.304 3.723 10.240
Kr 7.389 2.937 5.587
Kr 7.865 2.420 0.314
Kr 2.780 3.206 4.967
F 0.957 1.595 8.507
F 6.041 5.065 7.320
F 9.212 4.548 2.047
F 4.128 1.078 3.234
F 8.835 1.006 9.128
F 3.751 5.654 6.699
F 1.334 5.137 1.426
F 6.418 0.489 3.855
F 4.627 4.078 4.483
F 9.711 1.548 0.797
F 5.543 2.065 6.071
F 0.458 4.595 9.756
F 1.229 2.404 5.479
F 6.313 4.256 10.348
F 8.940 3.739 5.074
F 3.856 1.887 0.206
F 3.911 4.059 2.080
F 8.995 1.567 3.200
F 6.258 2.084 8.474
F 1.174 4.576 7.354
F 5.783 0.531 1.410
F 0.699 5.095 3.870
F 4.386 5.612 9.144
F 9.471 1.048 6.683
F 6.213 3.501 2.667
F 1.129 2.125 2.614
F 3.956 2.641 7.887
F 9.041 4.018 7.940
```